# 1
Entry from the Materials Project: a relaxed VReO4 crystal (r2SCAN).

## Properties
Relative energy among the computed polymorphs, meV/atom: 0
Formation energy from the elements, eV per atom: -2.108
Magnetization, Bohr magnetons per cell: 5.6

```
data_VReO4
_symmetry_space_group_name_H-M 'C 1 2/m 1'
_symmetry_Int_Tables_number 12
_symmetry_space_group_name_Hall '-C 2y'
_cell_length_a 9.392
_cell_length_b 5.622
_cell_length_c 4.729
_cell_angle_alpha 90.00
_cell_angle_beta 91.47
_cell_angle_gamma 90.00
loop_
_atom_site_label
_atom_site_type_symbol
_atom_site_fract_x
_atom_site_fract_y
_atom_site_fract_z
V1 V 0.237 0.000 0.007
Re1 Re 0.000 0.280 0.500
O1 O 0.095 0.000 0.309
O2 O 0.118 0.500 0.281
O3 O 0.146 0.259 0.799
```

---

# 2
Entry from the Materials Project: a relaxed VReO4 crystal (r2SCAN).

## Properties
Relative energy among the computed polymorphs, meV/atom: 14
Formation energy from the elements, eV per atom: -2.095
Magnetization, Bohr magnetons per cell: 0.2

```
data_VReO4
_symmetry_space_group_name_H-M 'P 1 21/m 1'
_symmetry_Int_Tables_number 11
_symmetry_space_group_name_Hall '-P 2yb'
_cell_length_a 5.597
_cell_length_b 6.804
_cell_length_c 7.166
_cell_angle_alpha 90.00
_cell_angle_beta 112.92
_cell_angle_gamma 90.00
loop_
_atom_site_label
_atom_site_type_symbol
_atom_site_fract_x
_atom_site_fract_y
_atom_site_fract_z
V1 V 0.121 0.250 0.243
V2 V 0.371 0.750 0.743
Re1 Re 0.151 0.250 0.750
Re2 Re 0.401 0.750 0.250
O1 O 0.013 0.750 0.542
O2 O 0.125 0.556 0.249
O3 O 0.233 0.750 0.958
O4 O 0.277 0.250 0.042
O5 O 0.374 0.026 0.748
O6 O 0.470 0.250 0.458
```

---

What is the relative energy among the computed polymorphs in the first record? 0 meV/atom